Record 1
First-principles (GGA-PBE) data for crystalline CeCoC2 at its relaxed geometry, as listed in the Materials Project.

Geometry as POSCAR:
```
CeCoC2
1.0
5.278 0.000 0.000
0.000 5.278 0.000
-1.347 0.000 7.276
Ce Co C
4 4 8
Cartesian
0.000 0.348 0.000
-0.674 4.930 3.638
1.966 2.291 3.638
2.639 2.987 0.000
-0.647 2.284 5.059
0.027 2.994 1.421
2.666 0.355 1.421
1.993 4.923 5.059
0.658 0.968 5.640
1.332 4.310 2.002
1.276 0.397 6.757
1.949 4.881 3.119
3.971 1.671 2.002
3.297 3.607 5.640
4.588 2.242 3.119
3.915 3.036 6.757
```

Energy in eV per atom: -8.1764
Energy relative to the elements in eV per atom: -0.302
Space group: Cc
Crystal system: monoclinic

Record 2
First-principles (GGA-PBE) data for crystalline Ba4Sc2Cu2O9 at its relaxed geometry, as listed in the Materials Project.

Geometry as POSCAR:
```
Ba4Sc2Cu2O9
1.0
0.000 4.225 8.024
4.157 0.000 8.024
4.157 4.225 0.000
Ba Sc Cu O
4 2 2 9
Cartesian
6.278 4.225 5.888
6.278 4.225 10.160
2.036 4.225 5.888
2.036 4.225 10.160
4.157 2.112 4.012
0.000 2.112 4.012
4.157 1.914 8.024
4.157 6.535 8.024
0.000 0.000 0.000
4.157 2.221 6.228
4.157 4.225 3.973
2.078 2.112 4.012
4.157 2.221 9.820
4.157 6.228 6.228
6.235 6.337 12.036
4.157 4.225 12.074
4.157 6.228 9.820
```

Energy in eV per atom: -6.7438
Energy relative to the elements in eV per atom: -2.809
Space group: Fmmm
Crystal system: orthorhombic
E (MP2020) in Ha/atom: -0.26120

Record 3
First-principles (GGA-PBE) data for crystalline Ce9In2Cu at its relaxed geometry, as listed in the Materials Project.

Geometry as POSCAR:
```
Ce9In2Cu
1.0
10.909 0.000 0.000
0.000 10.909 0.000
0.000 0.000 5.569
Ce In Cu
18 4 2
Cartesian
0.000 5.454 0.000
0.444 1.987 0.000
1.987 10.464 0.000
1.998 7.452 1.434
1.998 7.452 4.135
3.456 1.998 1.434
3.456 1.998 4.135
3.468 5.010 0.000
5.010 7.441 0.000
5.454 0.000 0.000
5.899 3.468 0.000
7.441 5.899 0.000
7.452 8.911 1.434
7.452 8.911 4.135
8.911 3.456 1.434
8.911 3.456 4.135
8.922 0.444 0.000
10.464 8.922 0.000
1.276 4.178 2.785
4.178 9.632 2.785
6.731 1.276 2.785
9.632 6.731 2.785
0.000 0.000 2.785
5.454 5.454 2.785
```

Energy in eV per atom: -5.0272
Energy relative to the elements in eV per atom: 0.223
Space group: P4/mbm
Size of the total moment in μB/f.u.: 5.57
Crystal system: tetragonal

Record 4
First-principles (GGA-PBE) data for crystalline Na4La2Mg2SiS5O24 at its relaxed geometry, as listed in the Materials Project.

Geometry as POSCAR:
```
Na4La2Mg2SiS5O24
1.0
9.188 0.000 0.000
-4.590 8.047 0.000
-0.059 -0.066 23.719
Na La Mg Si S O
12 6 6 3 15 72
Cartesian
0.000 0.000 0.000
-4.565 8.004 11.520
-1.213 2.601 13.623
-0.102 5.240 3.804
-0.039 5.189 15.514
-1.375 7.942 5.494
5.932 0.049 17.670
4.697 2.411 19.624
4.683 2.797 7.655
3.196 5.403 21.779
7.399 2.308 21.602
5.842 5.412 9.394
-0.009 0.032 19.811
-0.059 5.258 19.060
0.024 5.275 7.272
0.066 5.524 0.234
4.648 2.686 15.763
4.753 2.858 4.244
4.603 7.977 7.923
-4.502 7.920 3.376
0.024 0.027 15.147
0.085 5.389 11.895
4.607 2.388 23.151
4.545 2.578 11.236
-1.357 2.375 17.359
-3.230 5.783 5.803
1.362 7.828 21.389
-2.914 5.162 21.570
-1.424 2.883 9.798
1.284 2.180 5.657
-1.846 7.964 17.350
-1.332 7.776 9.730
1.527 2.885 21.589
1.776 2.658 13.430
3.130 0.398 1.785
2.844 5.299 9.765
6.004 0.167 13.460
3.409 5.151 1.632
3.253 5.658 17.401
2.053 8.002 5.662
7.431 2.524 1.629
6.080 5.126 13.394
-3.727 6.452 13.620
-3.645 6.438 7.236
-0.836 1.518 16.082
-0.816 1.551 9.584
-3.568 6.663 4.491
-2.099 4.972 20.337
-1.243 3.752 8.578
-2.026 5.334 22.727
-0.868 3.724 1.581
-0.805 3.572 10.966
-1.623 5.217 13.213
-0.701 3.882 17.392
-2.825 7.853 9.645
0.805 1.551 4.420
-1.538 5.643 5.738
0.886 1.471 6.891
0.914 1.425 13.530
-2.787 7.920 16.229
1.654 0.286 1.802
0.968 1.517 21.482
-2.518 7.976 18.672
0.805 3.594 5.683
0.806 3.545 22.699
-0.984 6.789 10.792
-0.929 6.783 17.293
0.861 3.837 13.242
-0.875 7.059 1.723
-0.781 7.282 8.423
1.297 3.653 20.327
2.797 2.212 5.665
2.486 2.869 14.719
3.649 0.984 3.042
2.750 2.514 12.331
3.566 1.178 0.598
3.610 1.131 17.319
3.840 1.072 9.976
2.984 2.856 21.816
0.849 6.877 13.188
1.919 5.298 1.656
1.082 6.682 22.532
1.893 5.425 10.885
2.107 5.095 8.489
1.753 5.684 17.359
1.184 6.774 5.682
0.877 7.214 19.930
5.449 0.621 14.781
5.315 1.253 21.661
3.763 4.115 9.933
3.722 4.331 2.817
3.722 4.261 17.319
5.665 1.107 5.668
5.657 1.186 12.426
3.848 4.462 0.382
3.678 6.155 18.743
2.850 8.004 4.430
3.699 6.530 9.670
7.440 0.050 6.898
3.762 6.505 16.312
6.161 2.397 17.377
7.504 0.114 13.567
3.025 7.980 21.485
4.032 6.493 1.738
5.429 3.952 21.723
5.347 4.239 5.818
6.273 2.797 9.963
6.576 2.480 0.397
5.438 4.413 12.260
6.587 2.696 2.833
5.938 4.272 14.635
8.236 1.290 1.739
5.397 6.354 21.463
8.102 1.651 18.832
```

Energy in eV per atom: -6.3901
Energy relative to the elements in eV per atom: -2.529
Space group: P1
Size of the total moment in μB/f.u.: 0.00
Crystal system: triclinic
E (MP2020) in Ha/atom: -0.25078